VASP calculation (GGA-PBE) on a relaxed structure of ZnGe3P2S4O24.

Geometry as POSCAR:
```
ZnGe3P2S4O24
1.0
8.388 -0.010 0.013
-4.203 7.293 0.012
0.035 0.054 21.770
O S P Ge Zn
72 12 6 9 3
Cartesian
5.774 2.360 5.275
-3.109 6.146 15.123
7.574 1.196 12.861
1.580 5.230 21.182
4.616 1.030 9.260
0.526 1.587 15.132
7.407 1.383 6.679
3.691 1.075 20.140
4.824 5.921 17.576
0.446 6.356 7.869
0.609 6.226 1.605
3.337 1.099 5.316
3.590 0.847 13.901
4.827 0.801 3.007
1.486 0.162 12.833
2.606 2.126 0.544
5.156 3.597 9.259
-1.452 5.219 16.493
1.450 5.123 5.551
-0.645 6.253 12.506
1.010 6.011 16.521
2.622 6.973 15.150
6.880 0.217 17.563
3.305 6.148 19.772
0.822 3.676 1.571
5.665 2.666 20.203
-1.077 3.695 18.682
0.843 1.167 1.949
-2.681 7.131 19.793
5.279 1.143 0.595
2.516 2.751 3.047
-0.786 3.700 12.443
5.312 3.774 3.008
0.714 1.488 8.999
0.924 6.095 10.384
-0.498 3.405 21.177
5.815 2.152 11.446
-1.490 4.770 1.599
3.112 1.184 11.494
2.624 2.283 16.224
-0.993 6.090 21.203
-0.495 3.529 5.601
1.642 0.170 6.674
-0.967 5.975 5.566
-0.511 1.613 4.233
3.328 3.664 20.149
0.972 1.290 17.562
3.125 6.079 4.226
-0.562 1.437 19.758
4.829 3.981 16.272
3.116 3.782 13.899
3.530 5.788 6.663
1.519 4.775 12.514
3.628 5.942 12.840
2.644 7.108 9.043
-3.212 6.024 8.992
5.168 1.144 16.260
-1.570 4.519 7.900
3.628 4.009 11.483
4.782 5.924 1.959
-2.593 6.976 4.248
4.781 3.996 0.598
0.503 3.476 16.509
0.628 3.392 10.327
2.765 2.779 9.301
3.523 3.877 5.303
6.919 0.118 1.940
-1.572 5.061 10.327
1.105 3.665 7.905
5.897 2.789 13.950
1.596 4.573 18.690
-0.482 6.427 18.694
-1.200 2.186 5.474
-2.400 4.844 9.101
5.435 4.578 1.816
-2.940 5.290 16.376
2.983 4.590 12.703
-1.758 7.272 5.496
1.193 2.160 16.375
1.802 7.270 16.405
5.427 0.266 1.809
1.283 2.803 9.112
2.975 0.303 12.709
2.971 5.196 5.468
-1.158 6.997 19.981
2.441 4.892 19.963
1.731 2.450 1.810
1.168 6.965 9.119
6.684 2.475 12.716
-1.220 2.814 19.969
0.011 4.897 17.824
0.031 4.942 6.777
4.152 2.452 21.287
0.044 0.056 18.757
0.019 4.813 0.399
0.025 4.867 11.320
0.040 0.064 3.172
4.301 2.365 10.436
8.369 0.069 14.060
8.332 0.015 7.787
4.152 2.441 4.012
4.280 2.484 14.975
```

Values from the calculation:
SG ... P1, No. 1
DFT formation energy ... -1978 meV per atom